--- 1 ---
First-principles (GGA-PBE) data for a relaxed Mg9Si5 crystal, as listed in the Materials Project database.

V	19.928	A^3/atom
ρ	2.14	g/cm3

Structure (CIF):
```
data_Mg9Si5
_chemical_formula_sum 'Mg18 Si10'
_cell_length_a 6.931
_cell_length_b 7.909
_cell_length_c 11.382
_cell_angle_alpha 82.69
_cell_angle_beta 86.93
_cell_angle_gamma 64.36
_symmetry_space_group_name_H-M 'P 1'
_symmetry_Int_Tables_number 1
_symmetry_space_group_name_Hall 'P 1'
loop_
_atom_site_label
_atom_site_type_symbol
_atom_site_fract_x
_atom_site_fract_y
_atom_site_fract_z
Mg1 Mg 0.000 0.000 0.000
Mg2 Mg 0.010 0.089 0.392
Mg3 Mg 0.101 0.855 0.636
Mg4 Mg 0.209 0.619 0.874
Mg5 Mg 0.214 0.711 0.272
Mg6 Mg 0.299 0.203 0.950
Mg7 Mg 0.337 0.477 0.520
Mg8 Mg 0.346 0.100 0.582
Mg9 Mg 0.384 0.046 0.216
Mg10 Mg 0.498 0.711 0.030
Mg11 Mg 0.574 0.622 0.714
Mg12 Mg 0.681 0.621 0.285
Mg13 Mg 0.720 0.924 0.813
Mg14 Mg 0.786 0.836 0.468
Mg15 Mg 0.849 0.429 0.516
Mg16 Mg 0.886 0.306 0.140
Mg17 Mg 0.941 0.218 0.756
Mg18 Mg 0.942 0.666 0.089
Si1 Si 0.135 0.382 0.330
Si2 Si 0.314 0.929 0.817
Si3 Si 0.387 0.410 0.105
Si4 Si 0.416 0.784 0.464
Si5 Si 0.555 0.290 0.302
Si6 Si 0.624 0.338 0.926
Si7 Si 0.715 0.153 0.588
Si8 Si 0.810 0.985 0.229
Si9 Si 0.886 0.493 0.905
Si10 Si 0.995 0.556 0.688
```

--- 2 ---
First-principles (GGA-PBE) data for a relaxed Mg9Si5 crystal, as listed in the Materials Project database.

V	20.070	A^3/atom
ρ	2.12	g/cm3

Structure (CIF):
```
data_Mg9Si5
_chemical_formula_sum 'Mg18 Si10'
_cell_length_a 7.200
_cell_length_b 7.212
_cell_length_c 12.427
_cell_angle_alpha 82.10
_cell_angle_beta 86.20
_cell_angle_gamma 61.54
_symmetry_space_group_name_H-M 'P 1'
_symmetry_Int_Tables_number 1
_symmetry_space_group_name_Hall 'P 1'
loop_
_atom_site_label
_atom_site_type_symbol
_atom_site_fract_x
_atom_site_fract_y
_atom_site_fract_z
Mg1 Mg 0.000 0.000 0.000
Mg2 Mg 0.002 0.901 0.301
Mg3 Mg 0.055 0.065 0.644
Mg4 Mg 0.099 0.253 0.177
Mg5 Mg 0.268 0.531 0.681
Mg6 Mg 0.270 0.458 0.978
Mg7 Mg 0.339 0.406 0.305
Mg8 Mg 0.359 0.678 0.469
Mg9 Mg 0.390 0.709 0.120
Mg10 Mg 0.418 0.751 0.829
Mg11 Mg 0.598 0.926 0.408
Mg12 Mg 0.608 0.967 0.168
Mg13 Mg 0.649 0.179 0.822
Mg14 Mg 0.729 0.846 0.651
Mg15 Mg 0.739 0.241 0.463
Mg16 Mg 0.768 0.723 0.981
Mg17 Mg 0.949 0.523 0.472
Mg18 Mg 0.960 0.402 0.815
Si1 Si 0.007 0.786 0.817
Si2 Si 0.035 0.661 0.146
Si3 Si 0.175 0.116 0.413
Si4 Si 0.345 0.135 0.730
Si5 Si 0.355 0.053 0.990
Si6 Si 0.360 0.239 0.533
Si7 Si 0.634 0.573 0.297
Si8 Si 0.675 0.402 0.979
Si9 Si 0.675 0.487 0.643
Si10 Si 0.710 0.289 0.180
```

Of them, the most stable is 2 and the least stable is 1.